VASP calculation (r2SCAN) on crystalline Th2Zn17 at its relaxed geometry.

Computed properties:
As for the distance to the lowest polymorph of the same formula: 0.05 eV/f.u. The value obtained for the formation energy is -0.249 eV/atom. As for the space-group type: P6_3/mmc.

abc: 8.957 8.957 8.755
angles: 90.00 90.00 120.00
Sites, in units of the cell vectors:
Th 0.000 0.000 0.250
Th 0.000 0.000 0.750
Th 0.333 0.667 0.250
Th 0.667 0.333 0.750
Zn 0.000 0.500 0.000
Zn 0.000 0.500 0.500
Zn 0.045 0.374 0.750
Zn 0.045 0.670 0.750
Zn 0.163 0.326 0.020
Zn 0.163 0.326 0.480
Zn 0.163 0.837 0.020
Zn 0.163 0.837 0.480
Zn 0.326 0.163 0.520
Zn 0.326 0.163 0.980
Zn 0.330 0.374 0.750
Zn 0.330 0.955 0.750
Zn 0.333 0.667 0.604
Zn 0.333 0.667 0.896
Zn 0.374 0.045 0.250
Zn 0.374 0.330 0.250
Zn 0.500 0.000 0.000
Zn 0.500 0.000 0.500
Zn 0.500 0.500 0.000
Zn 0.500 0.500 0.500
Zn 0.626 0.670 0.750
Zn 0.626 0.955 0.750
Zn 0.667 0.333 0.104
Zn 0.667 0.333 0.396
Zn 0.670 0.045 0.250
Zn 0.670 0.626 0.250
Zn 0.674 0.837 0.020
Zn 0.674 0.837 0.480
Zn 0.837 0.163 0.520
Zn 0.837 0.163 0.980
Zn 0.837 0.674 0.520
Zn 0.837 0.674 0.980
Zn 0.955 0.330 0.250
Zn 0.955 0.626 0.250